K2MoO2F5 | PBE with a Hubbard U | relaxed

abc: 6.3325 6.3325 9.6127
angles: 84.80 84.80 90.08
Fractional coordinates of all 20 atoms:
K1 0.7020 0.7020 0.7987
K2 0.2980 0.2980 0.2013
K3 0.7563 0.2437 0.5000
K4 0.2437 0.7563 0.5000
Mo1 0.2188 0.2188 0.7361
Mo2 0.7812 0.7812 0.2639
O1 0.2142 0.2142 0.9159
O2 0.7858 0.7858 0.0841
O3 0.6973 0.3027 0.0000
O4 0.3027 0.6973 0.0000
F1 0.9987 0.9987 0.7248
F2 0.0013 0.0013 0.2752
F3 0.2268 0.2268 0.5187
F4 0.7732 0.7732 0.4813
F5 0.4427 0.4427 0.6856
F6 0.5573 0.5573 0.3144
F7 0.0037 0.4431 0.7051
F8 0.4431 0.0037 0.7051
F9 0.9963 0.5569 0.2949
F10 0.5569 0.9963 0.2949

## Properties
ΔE_f ... -2367 meV per atom
Calculated volume ... 382.3 Å³ per cell
MP2020-corrected energy ... -56.20 eV/f.u.

***

Li7Mn5O12 | PBE with a Hubbard U | relaxed

abc: 6.0282 7.8044 9.7703
angles: 94.46 84.20 104.27
Fractional coordinates of all 48 atoms:
Li1 0.8391 0.3338 0.9959
Li2 0.3386 0.8339 0.4960
Li3 0.6774 0.4091 0.7603
Li4 0.1784 0.9094 0.2599
Li5 0.0037 0.2509 0.2357
Li6 0.5033 0.7514 0.7358
Li7 0.8172 0.5907 0.2575
Li8 0.3184 0.0912 0.7570
Li9 0.3464 0.5793 0.2427
Li10 0.8482 0.0796 0.7419
Li11 0.1544 0.4181 0.7530
Li12 0.6551 0.9180 0.2521
Li13 0.4974 0.2559 0.2543
Li14 0.9969 0.7569 0.7550
Mn1 0.8339 0.8337 0.5003
Mn2 0.9918 0.0036 0.0034
Mn3 0.4909 0.5031 0.5035
Mn4 0.6745 0.6591 0.9960
Mn5 0.1761 0.1596 0.4955
Mn6 0.3347 0.3339 0.0005
Mn7 0.4988 0.0035 0.0022
Mn8 0.9974 0.5044 0.5034
Mn9 0.1614 0.6620 0.9995
Mn10 0.6634 0.1614 0.4985
O1 0.2318 0.8867 0.8956
O2 0.7312 0.3865 0.3960
O3 0.4019 0.7968 0.1156
O4 0.9020 0.2973 0.6155
O5 0.0905 0.2006 0.8876
O6 0.5901 0.7005 0.3879
O7 0.5751 0.4585 0.1150
O8 0.0753 0.9588 0.6143
O9 0.9381 0.5490 0.8768
O10 0.4394 0.0489 0.3764
O11 0.2655 0.6065 0.6076
O12 0.7656 0.1064 0.1074
O13 0.7619 0.8746 0.8843
O14 0.2617 0.3747 0.3843
O15 0.9035 0.7963 0.1156
O16 0.4036 0.2961 0.6155
O17 0.5501 0.2105 0.8954
O18 0.0500 0.7106 0.3948
O19 0.1183 0.4537 0.1069
O20 0.6177 0.9534 0.6074
O21 0.4326 0.5313 0.8826
O22 0.9339 0.0318 0.3826
O23 0.2312 0.1339 0.1176
O24 0.7314 0.6340 0.6173

## Properties
ΔE_f ... -2140 meV per atom
Calculated volume ... 442.5 Å³ per cell
MP2020-corrected energy ... -169.90 eV/f.u.
Excess energy over the best structure of this formula in the dataset ... 17 meV/atom

***

MgCo2Si4O12 | PBE with a Hubbard U | relaxed

abc: 4.9804 7.7987 7.7988
angles: 89.58 67.43 67.45
Fractional coordinates of all 19 atoms:
Mg1 0.7500 0.7440 0.2561
Co1 0.2501 0.2125 0.7875
Co2 0.7500 0.0054 0.9947
Si1 0.1890 0.1876 0.3865
Si2 0.3109 0.6136 0.8123
Si3 0.6837 0.3457 0.2279
Si4 0.8163 0.7722 0.6543
O1 0.3231 0.3493 0.3188
O2 0.1769 0.6812 0.6506
O3 0.6565 0.6234 0.7468
O4 0.8433 0.2530 0.3767
O5 0.1575 0.1557 0.6013
O6 0.3424 0.3987 0.8444
O7 0.8206 0.8161 0.4574
O8 0.6796 0.5424 0.1841
O9 0.8919 0.1907 0.0204
O10 0.6082 0.9797 0.8093
O11 0.4490 0.9957 0.2313
O12 0.0509 0.7687 0.0042

## Properties
ΔE_f ... -2598 meV per atom
Calculated volume ... 254.8 Å³ per cell
MP2020-corrected energy ... -146.25 eV/f.u.
Excess energy over the best structure of this formula in the dataset ... 35 meV/atom

***

Rb2MoO2F4 | PBE with a Hubbard U | relaxed

abc: 7.8340 7.8340 7.1951
angles: 90.00 90.00 134.39
Fractional coordinates of all 18 atoms:
Rb1 0.7721 0.2279 0.4959
Rb2 0.2279 0.7721 0.9959
Rb3 0.5486 0.4514 0.0077
Rb4 0.4514 0.5486 0.5077
Mo1 0.8857 0.1143 0.9835
Mo2 0.1143 0.8857 0.4835
O1 0.8963 0.6549 0.3308
O2 0.1037 0.3451 0.8308
O3 0.6549 0.8963 0.8308
O4 0.3451 0.1037 0.3308
F1 0.7499 0.2501 0.0342
F2 0.2501 0.7499 0.5342
F3 0.1082 0.3369 0.2045
F4 0.8918 0.6631 0.7045
F5 0.3369 0.1082 0.7045
F6 0.6631 0.8918 0.2045
F7 0.9807 0.0193 0.5141
F8 0.0193 0.9807 0.0141

## Properties
ΔE_f ... -2692 meV per atom
Calculated volume ... 315.6 Å³ per cell
MP2020-corrected energy ... -54.59 eV/f.u.
Excess energy over the best structure of this formula in the dataset ... 2 meV/atom